Below is a relaxed structure of Al2W3O12, with properties calculated at the GGA+U level.

abc: 12.9061 9.2284 9.3085
angles: 90.00 90.00 90.00
Atoms (fractional coordinates):
Al1 0.1185 0.2499 0.0327
Al2 0.1185 0.7501 0.5327
Al3 0.3815 0.2501 0.5327
Al4 0.3815 0.7499 0.0327
Al5 0.6185 0.2501 0.9673
Al6 0.6185 0.7499 0.4673
Al7 0.8815 0.2499 0.4673
Al8 0.8815 0.7501 0.9673
W1 0.0000 0.0258 0.7500
W2 0.0000 0.9742 0.2500
W3 0.1444 0.3932 0.3844
W4 0.1444 0.6068 0.8844
W5 0.3556 0.1068 0.8844
W6 0.3556 0.8932 0.3844
W7 0.5000 0.4742 0.2500
W8 0.5000 0.5258 0.7500
W9 0.6444 0.1068 0.6156
W10 0.6444 0.8932 0.1156
W11 0.8556 0.3932 0.1156
W12 0.8556 0.6068 0.6156
O1 0.0217 0.3141 0.4347
O2 0.0217 0.6859 0.9347
O3 0.0694 0.1381 0.8763
O4 0.0694 0.8619 0.3763
O5 0.0930 0.0881 0.1577
O6 0.0930 0.9119 0.6577
O7 0.1393 0.4128 0.9116
O8 0.1393 0.5872 0.4116
O9 0.1647 0.3589 0.1948
O10 0.1647 0.6411 0.6948
O11 0.2458 0.3138 0.4933
O12 0.2458 0.6862 0.9933
O13 0.2542 0.1862 0.9933
O14 0.2542 0.8138 0.4933
O15 0.3353 0.1411 0.6948
O16 0.3353 0.8589 0.1948
O17 0.3607 0.0872 0.4116
O18 0.3607 0.9128 0.9116
O19 0.4070 0.4119 0.6577
O20 0.4070 0.5881 0.1577
O21 0.4306 0.3619 0.3763
O22 0.4306 0.6381 0.8763
O23 0.4783 0.1859 0.9347
O24 0.4783 0.8141 0.4347
O25 0.5217 0.1859 0.5653
O26 0.5217 0.8141 0.0653
O27 0.5694 0.3619 0.1237
O28 0.5694 0.6381 0.6237
O29 0.5930 0.4119 0.8423
O30 0.5930 0.5881 0.3423
O31 0.6393 0.0872 0.0884
O32 0.6393 0.9128 0.5884
O33 0.6647 0.1411 0.8052
O34 0.6647 0.8589 0.3052
O35 0.7458 0.1862 0.5067
O36 0.7458 0.8138 0.0067
O37 0.7542 0.3138 0.0067
O38 0.7542 0.6862 0.5067
O39 0.8353 0.3589 0.3052
O40 0.8353 0.6411 0.8052
O41 0.8607 0.4128 0.5884
O42 0.8607 0.5872 0.0884
O43 0.9070 0.0881 0.3423
O44 0.9070 0.9119 0.8423
O45 0.9306 0.1381 0.6237
O46 0.9306 0.8619 0.1237
O47 0.9783 0.3141 0.0653
O48 0.9783 0.6859 0.5653

Computed properties:
Energy with MP2020 corrections   -8.71 eV/atom
Uncorrected energy   -0.2737 Ha/atom
Energy above the most stable polymorph in this dataset   0.000 eV/atom
E_form   -2.495 eV/atom
Space-group type   Pbcn, No. 60